(1)
Here is crystalline CeNb3O9 at its relaxed geometry from the Materials Project database. Energies are from PBE.

Cell: 5.6010 9.7626 13.7463 Å, 90.34 90.17 90.17°
Last column: nearest neighbours and their distance in Å.
Element x y z (fractional)
Ce  0.2367  0.4216  0.4218  6 O 2.32-2.53
Ce  0.2407  0.0833  0.0818  6 O 2.36-2.63
Ce  0.7593  0.9167  0.9182  6 O 2.36-2.63
Ce  0.7633  0.5784  0.5782  6 O 2.32-2.53
Nb  0.2487  0.0835  0.8251  5 O 1.90-2.09
Nb  0.2493  0.4121  0.6745  5 O 1.92-2.10
Nb  0.2490  0.7356  0.0017  5 O 1.92-2.12
Nb  0.2503  0.0881  0.3340  6 O 1.98-2.05
Nb  0.2513  0.7655  0.4954  5 O 1.88-2.09
Nb  0.2538  0.4193  0.1663  6 O 1.97-2.05
Nb  0.7462  0.5807  0.8337  6 O 1.97-2.05
Nb  0.7487  0.2345  0.5046  5 O 1.88-2.09
Nb  0.7497  0.9119  0.6660  6 O 1.98-2.05
Nb  0.7510  0.2644  0.9983  5 O 1.92-2.12
Nb  0.7507  0.5879  0.3255  5 O 1.92-2.10
Nb  0.7513  0.9165  0.1749  5 O 1.90-2.09
O  0.9999  0.3205  0.5903  2 Nb 2.01-2.02
O  0.0001  0.6795  0.4097  2 Nb 2.01-2.02
O  0.0016  0.8398  0.0792  2 Nb 2.02-2.06
O  0.0032  0.3462  0.0743  2 Nb 1.92-2.01
O  0.0041  0.1751  0.4167  2 Nb 1.96-1.98
O  0.0041  0.9828  0.2555  2 Nb 1.90-2.02
O  0.0062  0.4943  0.2557  2 Nb 1.95-1.99
O  0.1759  0.5659  0.5660  2 Nb 2.16-2.22, 1 Ce 2.32
O  0.1814  0.9166  0.9157  2 Nb 2.09-2.17
O  0.2081  0.2380  0.2387  2 Nb 1.98-2.05
O  0.2998  0.2577  0.7573  2 Nb 1.92-1.97
O  0.3018  0.5884  0.0918  2 Nb 1.93-1.97
O  0.3015  0.9238  0.4203  2 Nb 1.88-2.02
O  0.4871  0.0160  0.2328  2 Nb 1.94-2.05
O  0.4867  0.2068  0.4058  2 Nb 2.01
O  0.4866  0.3043  0.0889  2 Nb 1.98-2.02
O  0.4868  0.4696  0.2731  2 Nb 2.00-2.02
O  0.5003  0.1228  0.9395  2 Nb 2.12-2.14
O  0.5004  0.3697  0.5654  2 Nb 2.09-2.10
O  0.4996  0.6303  0.4346  2 Nb 2.09-2.10
O  0.4997  0.8772  0.0605  2 Nb 2.12-2.14
O  0.5132  0.5304  0.7269  2 Nb 2.00-2.02
O  0.5134  0.6957  0.9111  2 Nb 1.98-2.02
O  0.5133  0.7932  0.5942  2 Nb 2.01
O  0.5129  0.9840  0.7672  2 Nb 1.94-2.05
O  0.6985  0.0762  0.5797  2 Nb 1.88-2.02
O  0.6982  0.4116  0.9082  2 Nb 1.93-1.97
O  0.7002  0.7423  0.2427  2 Nb 1.92-1.97
O  0.7919  0.7620  0.7613  2 Nb 1.98-2.05
O  0.8186  0.0834  0.0843  2 Nb 2.09-2.17
O  0.8241  0.4341  0.4340  2 Nb 2.16-2.22, 1 Ce 2.32
O  0.9938  0.5057  0.7443  2 Nb 1.95-1.99
O  0.9959  0.0172  0.7445  2 Nb 1.90-2.02
O  0.9959  0.8249  0.5833  2 Nb 1.96-1.98
O  0.9968  0.6538  0.9257  2 Nb 1.92-2.01
O  0.9984  0.1602  0.9208  2 Nb 2.02-2.06

Calculated values
M_tot in μB/cell: 3.4
DFT total energy in eV per atom: -8.96
Relative energy among the computed polymorphs in meV/atom: 0.0
Formation energy in kJ/mol of atoms: -310.7

=====

(2)
Here is crystalline CeNb3O9 at its relaxed geometry from the Materials Project database. Energies are from PBE.

Cell: 9.8173 9.8173 11.3332 Å, 107.05 107.05 47.46°
Last column: nearest neighbours and their distance in Å.
Element x y z (fractional)
Ce  0.0000  0.0000  0.0000  12 O 2.60-2.72
Ce  0.1687  0.1687  0.3381  12 O 2.62-2.90
Ce  0.5000  0.5000  0.0000  12 O 2.66-2.77
Ce  0.8313  0.8313  0.6619  12 O 2.62-2.90
Nb  0.0820  0.5753  0.9160  6 O 1.94-2.09
Nb  0.0844  0.5843  0.4160  6 O 1.97-2.03
Nb  0.2504  0.7436  0.2580  6 O 1.92-2.13
Nb  0.2564  0.7496  0.7420  6 O 1.92-2.13
Nb  0.4157  0.9156  0.5840  6 O 1.97-2.03
Nb  0.4247  0.9180  0.0840  6 O 1.94-2.09
Nb  0.5753  0.0820  0.9160  6 O 1.94-2.09
Nb  0.5843  0.0844  0.4160  6 O 1.97-2.03
Nb  0.7436  0.2504  0.2580  6 O 1.92-2.13
Nb  0.7496  0.2564  0.7420  6 O 1.92-2.13
Nb  0.9156  0.4157  0.5840  6 O 1.97-2.03
Nb  0.9180  0.4247  0.0840  6 O 1.94-2.09
O  0.0000  0.5000  0.0000  2 Nb 1.94
O  0.0000  0.5000  0.5000  2 Nb 2.03
O  0.0087  0.0087  0.2337  2 Nb 2.04
O  0.0123  0.4767  0.2534  2 Nb 1.96-2.03
O  0.1445  0.6804  0.5899  2 Nb 1.96-2.03
O  0.1532  0.1532  0.0894  2 Nb 2.03
O  0.1639  0.6792  0.8433  2 Nb 2.09-2.13
O  0.1657  0.6662  0.3340  2 Nb 1.92-1.97
O  0.1731  0.1731  0.5719  2 Nb 1.99
O  0.1778  0.6707  0.0766  2 Nb 2.05-2.06
O  0.3196  0.8555  0.4101  2 Nb 1.96-2.03
O  0.3208  0.8361  0.1567  2 Nb 2.09-2.13
O  0.3235  0.3235  0.4213  2 Nb 1.99
O  0.3293  0.8222  0.9234  2 Nb 2.05-2.06
O  0.3338  0.8343  0.6660  2 Nb 1.92-1.97
O  0.3431  0.3431  0.9132  2 Nb 1.97
O  0.4767  0.0123  0.2534  2 Nb 1.96-2.03
O  0.4943  0.4943  0.7622  2 Nb 1.97
O  0.5000  0.0000  0.0000  2 Nb 1.94
O  0.5000  0.0000  0.5000  2 Nb 2.03
O  0.5057  0.5057  0.2378  2 Nb 1.97
O  0.5233  0.9877  0.7466  2 Nb 1.96-2.03
O  0.6569  0.6569  0.0868  2 Nb 1.97
O  0.6662  0.1657  0.3340  2 Nb 1.92-1.97
O  0.6707  0.1778  0.0766  2 Nb 2.05-2.06
O  0.6765  0.6765  0.5787  2 Nb 1.99
O  0.6792  0.1639  0.8433  2 Nb 2.09-2.13
O  0.6804  0.1445  0.5899  2 Nb 1.96-2.03
O  0.8222  0.3293  0.9234  2 Nb 2.05-2.06
O  0.8269  0.8269  0.4281  2 Nb 1.99
O  0.8343  0.3338  0.6660  2 Nb 1.92-1.97
O  0.8361  0.3208  0.1567  2 Nb 2.09-2.13
O  0.8468  0.8468  0.9106  2 Nb 2.03
O  0.8555  0.3196  0.4101  2 Nb 1.96-2.03
O  0.9877  0.5233  0.7466  2 Nb 1.96-2.03
O  0.9913  0.9913  0.7663  2 Nb 2.04

Calculated values
M_tot in μB/cell: 1.4
DFT total energy in eV per atom: -8.94
Relative energy among the computed polymorphs in meV/atom: 18.1
Formation energy in kJ/mol of atoms: -309.0

=====

(3)
Here is crystalline Ce2Nb2S7O30 at its relaxed geometry from the Materials Project database. Energies are from PBE.

Cell: 12.9241 12.9241 7.2044 Å, 90.00 90.00 90.00°
Last column: nearest neighbours and their distance in Å.
Element x y z (fractional)
Ce  0.2018  0.2982  0.0898  8 O 2.26-2.53
Ce  0.2982  0.7982  0.9102  8 O 2.26-2.53
Ce  0.7018  0.2018  0.9102  8 O 2.26-2.53
Ce  0.7982  0.7018  0.0898  8 O 2.26-2.53
Nb  0.1391  0.6391  0.5178  3 O 1.82-1.95
Nb  0.3609  0.1391  0.4822  3 O 1.82-1.95
Nb  0.6391  0.8609  0.4822  3 O 1.82-1.95
Nb  0.8609  0.3609  0.5178  3 O 1.82-1.95
S  0.0000  0.5000  0.1577  4 O 1.48
S  0.0661  0.8261  0.2066  4 O 1.42-1.57
S  0.1229  0.3771  0.6047  4 O 1.45-1.50
S  0.1739  0.0661  0.7934  4 O 1.42-1.57
S  0.3261  0.5661  0.2066  4 O 1.42-1.57
S  0.3771  0.8771  0.3953  4 O 1.45-1.50
S  0.4339  0.3261  0.7934  4 O 1.42-1.57
S  0.5000  0.0000  0.8423  4 O 1.48
S  0.5661  0.6739  0.7934  4 O 1.42-1.57
S  0.6229  0.1229  0.3953  4 O 1.45-1.50
S  0.6739  0.4339  0.2066  4 O 1.42-1.57
S  0.8261  0.9339  0.7934  4 O 1.42-1.57
S  0.8771  0.6229  0.6047  4 O 1.45-1.50
S  0.9339  0.1739  0.2066  4 O 1.42-1.57
O  0.0090  0.3583  0.6266  1 S 1.50
O  0.0405  0.2121  0.1708  1 S 1.49
O  0.0660  0.5660  0.2772  1 S 1.48
O  0.0671  0.0760  0.7479  1 S 1.42
O  0.0669  0.4332  0.0410  1 S 1.48
O  0.0760  0.9329  0.2521  1 S 1.42
O  0.1065  0.7652  0.3803  1 S 1.57
O  0.1338  0.7918  0.0501  1 S 1.49
O  0.1417  0.4910  0.6266  1 S 1.50
O  0.1580  0.3420  0.4237  1 S 1.45
O  0.1754  0.3246  0.7589  1 S 1.47
O  0.2012  0.7012  0.7147  1 Nb 1.82
O  0.2082  0.1338  0.9499  1 S 1.49
O  0.2121  0.9595  0.8292  1 S 1.49
O  0.2348  0.1065  0.6197  1 S 1.57
O  0.2652  0.6065  0.3803  1 S 1.57
O  0.2879  0.4595  0.1708  1 S 1.49
O  0.2918  0.6338  0.0501  1 S 1.49
O  0.2988  0.2012  0.2853  1 Nb 1.82
O  0.3246  0.8246  0.2411  1 S 1.47
O  0.3420  0.8420  0.5763  1 S 1.45
O  0.3583  0.9910  0.3734  1 S 1.50
O  0.3662  0.2918  0.9499  1 S 1.49
O  0.3935  0.2652  0.6197  1 S 1.57
O  0.4240  0.4329  0.7479  1 S 1.42
O  0.4329  0.5760  0.2521  1 S 1.42
O  0.4332  0.9332  0.9590  1 S 1.48
O  0.4340  0.0660  0.7228  1 S 1.48
O  0.4595  0.7121  0.8292  1 S 1.49
O  0.4910  0.8583  0.3734  1 S 1.50
O  0.5090  0.1417  0.3734  1 S 1.50
O  0.5405  0.2879  0.8292  1 S 1.49
O  0.5660  0.9340  0.7228  1 S 1.48
O  0.5668  0.0669  0.9590  1 S 1.48
O  0.5671  0.4240  0.2521  1 S 1.42
O  0.5760  0.5671  0.7479  1 S 1.42
O  0.6065  0.7348  0.6197  1 S 1.57
O  0.6338  0.7082  0.9499  1 S 1.49
O  0.6417  0.0090  0.3734  1 S 1.50
O  0.6580  0.1580  0.5763  1 S 1.45
O  0.6754  0.1754  0.2411  1 S 1.47
O  0.7012  0.7988  0.2853  1 Nb 1.82
O  0.7082  0.3662  0.0501  1 S 1.49
O  0.7121  0.5405  0.1708  1 S 1.49
O  0.7348  0.3935  0.3803  1 S 1.57
O  0.7652  0.8935  0.6197  1 S 1.57
O  0.7879  0.0405  0.8292  1 S 1.49
O  0.7918  0.8662  0.9499  1 S 1.49
O  0.7988  0.2988  0.7147  1 Nb 1.82
O  0.8246  0.6754  0.7589  1 S 1.47
O  0.8420  0.6580  0.4237  1 S 1.45
O  0.8583  0.5090  0.6266  1 S 1.50
O  0.8662  0.2082  0.0501  1 S 1.49
O  0.8935  0.2348  0.3803  1 S 1.57
O  0.9240  0.0671  0.2521  1 S 1.42
O  0.9332  0.5668  0.0410  1 S 1.48
O  0.9329  0.9240  0.7479  1 S 1.42
O  0.9340  0.4340  0.2772  1 S 1.48
O  0.9595  0.7879  0.1708  1 S 1.49
O  0.9910  0.6417  0.6266  1 S 1.50

Calculated values
M_tot in μB/cell: 0.0
DFT total energy in eV per atom: -6.92
Formation energy in kJ/mol of atoms: -223.2